# LaCu (PBE, optimized geometry)
data_LaCu
_chemical_formula_sum 'La4 Cu4'
_space_group_name_H-M_alt 'P 1'
_space_group_IT_number 1
_cell_length_a 7.4379
_cell_length_b 4.7294
_cell_length_c 5.6975
_cell_angle_alpha 90.00
_cell_angle_beta 90.00
_cell_angle_gamma 90.00
loop_
_space_group_symop_operation_xyz
'x,y,z'
loop_
_atom_site_label
_atom_site_fract_x
_atom_site_fract_y
_atom_site_fract_z
La1 0.1798 0.2500 0.1357
La2 0.3202 0.7500 0.6357
La3 0.6798 0.2500 0.3643
La4 0.8202 0.7500 0.8643
Cu1 0.0339 0.2500 0.6155
Cu2 0.4661 0.7500 0.1155
Cu3 0.5339 0.2500 0.8845
Cu4 0.9661 0.7500 0.3845
# SG = Pnma (62)



# LiLa8Cu3O16 (PBE, optimized geometry)
data_LiLa8Cu3O16
_chemical_formula_sum 'Li1 La8 Cu3 O16'
_space_group_name_H-M_alt 'P 1'
_space_group_IT_number 1
_cell_length_a 7.0910
_cell_length_b 7.5723
_cell_length_c 8.4585
_cell_angle_alpha 116.44
_cell_angle_beta 96.89
_cell_angle_gamma 105.59
loop_
_space_group_symop_operation_xyz
'x,y,z'
loop_
_atom_site_label
_atom_site_fract_x
_atom_site_fract_y
_atom_site_fract_z
Li1 0.0000 0.0000 0.0000
La1 0.2740 0.7304 0.8197
La2 0.2757 0.2302 0.8257
La3 0.2765 0.9837 0.3173
La4 0.2774 0.4723 0.3147
La5 0.7225 0.0176 0.6826
La6 0.7218 0.5289 0.6855
La7 0.7215 0.7702 0.1753
La8 0.7228 0.2695 0.1808
Cu1 0.9996 0.4997 0.9997
Cu2 0.0004 0.7500 0.5007
Cu3 0.9964 0.2465 0.4969
O1 0.0033 0.8749 0.7489
O2 0.0039 0.6272 0.2524
O3 0.0062 0.7459 0.0000
O4 0.3616 0.1390 0.0919
O5 0.3673 0.3776 0.5846
O6 0.3682 0.6262 0.0818
O7 0.3701 0.8781 0.5888
O8 0.6278 0.3651 0.9105
O9 0.6286 0.0991 0.3974
O10 0.6331 0.6016 0.4025
O11 0.6341 0.8530 0.9008
O12 0.9927 0.2529 0.9980
O13 0.9950 0.3723 0.7459
O14 0.9963 0.1245 0.2494
O15 0.9964 0.4983 0.5001
O16 0.9958 0.9979 0.4999
# SG = P1 (1)



| no. | ΔE_f (kJ/mol of atoms) | raw total energy (eV per atom) |
| --- | --- | --- |
| 1 | -16.3 | -4.686 |
| 2 | -295.9 | -7.420 |